Entry 1:
K after structural relaxation. Source: the Materials Project, functional PBE.

Geometry as POSCAR:
```
K
1.0
4.323 0.000 0.000
0.000 4.323 0.000
0.000 0.000 4.323
K
1
direct
0.000 0.000 0.000
```

Output
crystal system	cubic

---

Entry 2:
K after structural relaxation. Source: the Materials Project, functional PBE.

Geometry as POSCAR:
```
K
1.0
2.631 2.631 2.631
2.631 -2.631 -2.631
-2.631 2.631 -2.631
K
1
direct
0.000 0.000 0.000
```

Output
crystal system	cubic

---

Entry 3:
K after structural relaxation. Source: the Materials Project, functional PBE.

Geometry as POSCAR:
```
K
1.0
11.435 0.000 0.000
0.000 11.435 0.000
0.000 0.000 11.435
K
20
direct
0.875 0.703 0.047
0.062 0.062 0.062
0.203 0.453 0.125
0.812 0.312 0.188
0.453 0.125 0.203
0.547 0.625 0.297
0.188 0.812 0.312
0.797 0.953 0.375
0.938 0.562 0.438
0.125 0.203 0.453
0.625 0.297 0.547
0.438 0.938 0.562
0.297 0.547 0.625
0.688 0.688 0.688
0.047 0.875 0.703
0.953 0.375 0.797
0.312 0.188 0.812
0.703 0.047 0.875
0.562 0.438 0.938
0.375 0.797 0.953
```

Output
crystal system	cubic

---

Entry 4:
K after structural relaxation. Source: the Materials Project, functional PBE.

Geometry as POSCAR:
```
K
1.0
-2.214 2.214 7.907
2.214 -2.214 7.907
2.214 2.214 -7.907
K
2
direct
0.250 0.750 0.500
0.500 0.500 0.000
```

Output
crystal system	tetragonal

---

Entry 5:
K after structural relaxation. Source: the Materials Project, functional PBE.

Geometry as POSCAR:
```
K
1.0
-2.716 -1.167 5.295
5.421 -0.475 2.676
-0.188 11.165 2.364
K
5
direct
0.000 0.000 0.000
0.500 0.000 0.695
0.000 0.500 0.695
0.000 0.500 0.305
0.500 0.000 0.305
```

Output
crystal system	tetragonal

---

Entry 6:
K after structural relaxation. Source: the Materials Project, functional PBE.

Geometry as POSCAR:
```
K
1.0
-6.187 -7.623 -5.988
-7.764 -8.344 -1.525
-9.589 -4.790 -4.164
K
3
direct
0.000 0.000 0.000
0.778 0.778 0.778
0.222 0.222 0.222
```

Output
crystal system	trigonal

---

Entry 7:
K after structural relaxation. Source: the Materials Project, functional PBE.

Geometry as POSCAR:
```
K
1.0
0.000 3.328 3.328
3.328 0.000 3.328
3.328 3.328 0.000
K
1
direct
0.000 0.000 0.000
```

Output
crystal system	cubic

---

Entry 8:
K after structural relaxation. Source: the Materials Project, functional PBE.

Geometry as POSCAR:
```
K
1.0
3.129 3.114 0.000
-3.129 3.114 0.000
0.000 2.992 7.892
K
2
direct
0.364 0.636 0.750
0.636 0.364 0.250
```

Output
crystal system	monoclinic

---

Values of total DFT energy (no corrections), in order: -1.0 -1.1 -22.2 -2.1 -5.0 -3.3 -1.1 -2.1, all in eV/cell.